No. 1
{
  "formula": "V2P3O12",
  "functional": "GGA+U",
  "state": "relaxed",
  "mass_density_g_cm3": 2.96,
  "de_polymorph_ev_per_atom": 0.002,
  "dft_energy_ev_per_atom": -7.390,
  "formation_energy_ev_per_fu": -43.50,
  "magmom_total_mub_per_atom": 0.0588,
  "lattice_angstrom": [[8.5033, 0.0000, 0.0000], [0.0000, 8.5810, 0.0000], [-8.4041, 0.0000, 11.9072]],
  "species": ["V", "V", "V", "V", "V", "V", "V", "V", "P", "P", "P", "P", "P", "P", "P", "P", "P", "P", "P", "P", "O", "O", "O", "O", "O", "O", "O", "O", "O", "O", "O", "O", "O", "O", "O", "O", "O", "O", "O", "O", "O", "O", "O", "O", "O", "O", "O", "O", "O", "O", "O", "O", "O", "O", "O", "O", "O", "O", "O", "O", "O", "O", "O", "O", "O", "O", "O", "O"],
  "fractional_positions": [[0.1295, 0.0315, 0.3807], [0.1295, 0.4685, 0.8807], [0.3699, 0.0317, 0.1164], [0.3699, 0.4683, 0.6164], [0.6301, 0.5317, 0.3836], [0.6301, 0.9683, 0.8836], [0.8705, 0.5315, 0.1193], [0.8705, 0.9685, 0.6193], [0.0332, 0.6158, 0.6430], [0.0332, 0.8842, 0.1430], [0.2497, 0.1155, 0.6435], [0.2497, 0.3845, 0.1435], [0.4662, 0.7489, 0.9957], [0.4662, 0.7511, 0.4957], [0.5338, 0.2489, 0.5043], [0.5338, 0.2511, 0.0043], [0.7503, 0.6155, 0.8565], [0.7503, 0.8845, 0.3565], [0.9668, 0.1158, 0.8570], [0.9668, 0.3842, 0.3570], [0.0214, 0.7145, 0.1767], [0.0214, 0.7855, 0.6767], [0.0824, 0.5069, 0.7425], [0.0824, 0.9931, 0.2425], [0.0867, 0.0876, 0.6600], [0.0867, 0.4124, 0.1600], [0.1641, 0.0668, 0.9583], [0.1641, 0.4332, 0.4583], [0.1727, 0.0721, 0.5219], [0.1727, 0.4279, 0.0219], [0.1942, 0.6056, 0.6269], [0.1942, 0.8944, 0.1269], [0.2828, 0.6480, 0.9417], [0.2828, 0.8520, 0.4417], [0.2926, 0.2071, 0.1612], [0.2926, 0.2929, 0.6612], [0.3535, 0.1467, 0.4272], [0.3535, 0.3533, 0.9272], [0.4246, 0.0164, 0.7255], [0.4246, 0.4836, 0.2255], [0.4599, 0.6342, 0.5738], [0.4599, 0.8658, 0.0738], [0.4662, 0.6754, 0.4008], [0.4662, 0.8246, 0.9008], [0.5338, 0.1754, 0.0992], [0.5338, 0.3246, 0.5992], [0.5401, 0.1342, 0.9262], [0.5401, 0.3658, 0.4262], [0.5754, 0.5164, 0.7745], [0.5754, 0.9836, 0.2745], [0.6465, 0.6467, 0.0728], [0.6465, 0.8533, 0.5728], [0.7074, 0.7071, 0.3388], [0.7074, 0.7929, 0.8388], [0.7172, 0.1480, 0.5583], [0.7172, 0.3520, 0.0583], [0.8058, 0.1056, 0.8731], [0.8058, 0.3944, 0.3731], [0.8273, 0.5721, 0.9781], [0.8273, 0.9279, 0.4781], [0.8359, 0.5668, 0.5417], [0.8359, 0.9332, 0.0417], [0.9133, 0.5876, 0.8400], [0.9133, 0.9124, 0.3400], [0.9176, 0.0069, 0.7575], [0.9176, 0.4931, 0.2575], [0.9786, 0.2145, 0.3233], [0.9786, 0.2855, 0.8233]]
}

No. 2
{
  "formula": "MgTl3VO4",
  "functional": "GGA+U",
  "state": "relaxed",
  "mass_density_g_cm3": 6.46,
  "dft_energy_ev_per_atom": -5.183,
  "formation_energy_ev_per_fu": -13.53,
  "magmom_total_mub_per_atom": 0.0000,
  "lattice_angstrom": [[4.7727, -4.0376, 0.0000], [4.7727, 4.0376, 0.0000], [-3.4410, 0.0000, 5.0207]],
  "species": ["Mg", "Tl", "Tl", "Tl", "V", "O", "O", "O", "O"],
  "fractional_positions": [[0.0000, 0.0000, 0.0000], [0.4299, 0.9707, 0.7528], [0.7247, 0.7247, 0.2685], [0.9707, 0.4299, 0.7528], [0.3343, 0.3343, 0.4204], [0.0208, 0.3497, 0.2523], [0.3497, 0.0208, 0.2523], [0.4152, 0.4152, 0.7573], [0.4921, 0.4921, 0.3656]]
}

No. 3
{
  "formula": "Na2FeO3",
  "functional": "GGA+U",
  "state": "relaxed",
  "mass_density_g_cm3": 3.67,
  "de_polymorph_ev_per_atom": 0.002,
  "dft_energy_ev_per_atom": -5.243,
  "formation_energy_ev_per_fu": -9.81,
  "lattice_angstrom": [[2.6847, 4.6446, -0.0057], [-8.0815, 4.6606, 0.0246], [-1.8410, 0.0055, 5.4231]],
  "species": ["Na", "Na", "Na", "Na", "Na", "Na", "Na", "Na", "Fe", "Fe", "Fe", "Fe", "O", "O", "O", "O", "O", "O", "O", "O", "O", "O", "O", "O"],
  "fractional_positions": [[0.7549, 0.2520, 0.4992], [0.2549, 0.7519, 0.4995], [0.9997, 0.9999, 0.0001], [0.4997, 0.4998, 0.0002], [0.2350, 0.0794, 0.5014], [0.7351, 0.5795, 0.5014], [0.2616, 0.4194, 0.4995], [0.7615, 0.9193, 0.4994], [0.5013, 0.8338, 0.0000], [0.9996, 0.6671, 0.0001], [0.0014, 0.3339, 0.9999], [0.4997, 0.1670, 0.0002], [0.6615, 0.3496, 0.7945], [0.1615, 0.8496, 0.7946], [0.8556, 0.1567, 0.2036], [0.3556, 0.6567, 0.2038], [0.3370, 0.2794, 0.2054], [0.8370, 0.7794, 0.2054], [0.9137, 0.4582, 0.1988], [0.4137, 0.9580, 0.1988], [0.1431, 0.2272, 0.8002], [0.6430, 0.7272, 0.8002], [0.5869, 0.0274, 0.7970], [0.0869, 0.5276, 0.7968]]
}

No. 4
{
  "formula": "Li2Ni3SnO8",
  "functional": "GGA+U",
  "state": "relaxed",
  "mass_density_g_cm3": 4.93,
  "de_polymorph_ev_per_atom": 0.007,
  "dft_energy_ev_per_atom": -5.151,
  "formation_energy_ev_per_fu": -20.48,
  "magmom_total_mub_per_atom": 0.1428,
  "lattice_angstrom": [[5.8954, 0.0000, 0.0000], [-0.2505, 6.0579, 0.0000], [-0.0684, -0.3204, 8.2405]],
  "species": ["Li", "Li", "Li", "Li", "Ni", "Ni", "Ni", "Ni", "Ni", "Ni", "Sn", "Sn", "O", "O", "O", "O", "O", "O", "O", "O", "O", "O", "O", "O", "O", "O", "O", "O"],
  "fractional_positions": [[0.2434, 0.4923, 0.1369], [0.2531, 0.0082, 0.3692], [0.7469, 0.9918, 0.6308], [0.7566, 0.5077, 0.8631], [0.0000, 0.0000, 0.0000], [0.0000, 0.5000, 0.5000], [0.2437, 0.7536, 0.7475], [0.5000, 0.0000, 0.0000], [0.5000, 0.5000, 0.5000], [0.7563, 0.2464, 0.2525], [0.2458, 0.2513, 0.7508], [0.7542, 0.7487, 0.2492], [0.0031, 0.0001, 0.7722], [0.0210, 0.5117, 0.7286], [0.2310, 0.2889, 0.4992], [0.2337, 0.2259, 0.9997], [0.2383, 0.7225, 0.5163], [0.2397, 0.7947, 0.9833], [0.4708, 0.9929, 0.7615], [0.4880, 0.5023, 0.7304], [0.5120, 0.4977, 0.2696], [0.5292, 0.0071, 0.2385], [0.7603, 0.2053, 0.0167], [0.7617, 0.2775, 0.4837], [0.7663, 0.7741, 0.0003], [0.7690, 0.7111, 0.5008], [0.9790, 0.4883, 0.2714], [0.9969, 0.9999, 0.2278]]
}

No. 5
{
  "formula": "Co2OF3",
  "functional": "GGA+U",
  "state": "relaxed",
  "mass_density_g_cm3": 4.55,
  "de_polymorph_ev_per_atom": 0.041,
  "dft_energy_ev_per_atom": -5.199,
  "formation_energy_ev_per_fu": -11.64,
  "magmom_total_mub_per_atom": 1.1558,
  "lattice_angstrom": [[4.7094, 0.0000, 0.0000], [0.2163, 5.6638, 0.0000], [0.4865, 2.5276, 13.0702]],
  "species": ["Co", "Co", "Co", "Co", "Co", "Co", "Co", "Co", "Co", "Co", "O", "O", "O", "O", "O", "F", "F", "F", "F", "F", "F", "F", "F", "F", "F", "F", "F", "F", "F", "F"],
  "fractional_positions": [[0.0000, 0.0000, 0.0000], [0.0020, 0.8040, 0.5980], [0.0208, 0.5880, 0.1946], [0.4850, 0.3125, 0.6053], [0.4884, 0.1018, 0.2036], [0.4999, 0.9013, 0.7988], [0.5081, 0.4972, 0.9968], [0.5404, 0.6892, 0.3858], [0.9762, 0.2144, 0.4057], [0.9973, 0.4032, 0.8007], [0.2957, 0.2252, 0.7389], [0.2990, 0.4207, 0.1400], [0.7006, 0.5829, 0.8578], [0.7023, 0.3817, 0.4616], [0.7037, 0.7682, 0.2620], [0.1934, 0.1257, 0.5375], [0.1936, 0.9177, 0.1409], [0.1963, 0.3186, 0.9400], [0.1983, 0.7236, 0.7380], [0.2054, 0.5081, 0.3395], [0.2903, 0.0155, 0.3472], [0.3076, 0.8196, 0.9393], [0.3092, 0.6311, 0.5292], [0.6910, 0.9867, 0.6577], [0.6945, 0.1800, 0.0624], [0.8003, 0.0800, 0.8601], [0.8013, 0.4893, 0.6592], [0.8031, 0.6810, 0.0611], [0.8034, 0.8870, 0.4579], [0.8106, 0.2730, 0.2625]]
}

No. 6
{
  "formula": "Li3FeC3O9",
  "functional": "GGA+U",
  "state": "relaxed",
  "mass_density_g_cm3": 2.47,
  "dft_energy_ev_per_atom": -6.855,
  "formation_energy_ev_per_fu": -31.71,
  "magmom_total_mub_per_atom": 0.3126,
  "lattice_angstrom": [[10.0028, 0.0000, 0.0000], [0.0000, 4.7571, 3.6252], [0.0000, -4.7571, 3.6252]],
  "species": ["Li", "Li", "Li", "Li", "Li", "Li", "Fe", "Fe", "C", "C", "C", "C", "C", "C", "O", "O", "O", "O", "O", "O", "O", "O", "O", "O", "O", "O", "O", "O", "O", "O", "O", "O"],
  "fractional_positions": [[0.0000, 0.0000, 0.0000], [0.2500, 0.3066, 0.2635], [0.2500, 0.6646, 0.1082], [0.5000, 0.0000, 0.0000], [0.7500, 0.1082, 0.6646], [0.7500, 0.2635, 0.3066], [0.2500, 0.0650, 0.6010], [0.7500, 0.6010, 0.0650], [0.0113, 0.0660, 0.4727], [0.2500, 0.6479, 0.6572], [0.4887, 0.0660, 0.4727], [0.5113, 0.4727, 0.0660], [0.7500, 0.6572, 0.6479], [0.9887, 0.4727, 0.0660], [0.0523, 0.0497, 0.6766], [0.1095, 0.0676, 0.3260], [0.1104, 0.4223, 0.0780], [0.2500, 0.4304, 0.6453], [0.2500, 0.7143, 0.4653], [0.2500, 0.8129, 0.8492], [0.3905, 0.0676, 0.3260], [0.3896, 0.4223, 0.0780], [0.4477, 0.0497, 0.6766], [0.5523, 0.6766, 0.0497], [0.6104, 0.0780, 0.4223], [0.6095, 0.3260, 0.0676], [0.7500, 0.4653, 0.7143], [0.7500, 0.6453, 0.4304], [0.7500, 0.8492, 0.8129], [0.8896, 0.0780, 0.4223], [0.8905, 0.3260, 0.0676], [0.9477, 0.6766, 0.0497]]
}